(1)
BaNbS3 r²SCAN optimized geometry; symmetry = P6_3/mmc; E_tot = -16.734 eV per atom; theoretical density = 4.51 g/cm³
1.0
-4.185 -5.465 -0.982
2.342 1.484 6.376
-4.574 3.341 0.902
S Nb Ba
6 2 2
Direct
0.170 0.341 0.250
0.830 0.659 0.750
0.830 0.170 0.750
0.170 0.830 0.250
0.341 0.170 0.750
0.659 0.830 0.250
0.000 0.000 0.000
0.000 0.000 0.500
0.667 0.333 0.250
0.333 0.667 0.750

(2)
Ba6Nb5S17 r²SCAN optimized geometry; symmetry = P1; E_tot = -16.632 eV per atom; theoretical density = 4.27 g/cm³
1.0
8.854 -0.024 -0.072
1.205 8.983 0.040
0.876 0.933 8.963
S Nb Ba
17 5 6
Direct
0.265 0.074 0.942
0.417 0.233 0.579
0.926 0.079 0.747
0.107 0.930 0.256
0.607 0.420 0.258
0.750 0.425 0.588
0.265 0.403 0.070
0.077 0.251 0.411
0.085 0.739 0.939
0.415 0.582 0.736
0.742 0.932 0.088
0.246 0.586 0.410
0.751 0.584 0.919
0.576 0.780 0.412
0.570 0.918 0.760
0.902 0.256 0.066
0.926 0.749 0.591
0.008 0.993 0.003
0.476 0.466 0.487
0.136 0.204 0.166
0.826 0.833 0.842
0.664 0.681 0.650
0.087 0.412 0.744
0.245 0.903 0.590
0.579 0.259 0.894
0.416 0.721 0.088
0.764 0.091 0.420
0.913 0.592 0.262

(3)
BaNd2O4 r²SCAN optimized geometry; symmetry = Pnma; E_tot = -19.008 eV per atom; theoretical density = 6.73 g/cm³
1.0
-3.217 -0.400 1.608
0.357 -10.489 -1.898
5.720 -1.795 10.999
Nd O Ba
8 16 4
Direct
0.250 0.420 0.389
0.750 0.076 0.388
0.250 0.920 0.111
0.750 0.080 0.889
0.250 0.424 0.888
0.250 0.924 0.612
0.750 0.580 0.611
0.750 0.576 0.112
0.750 0.485 0.783
0.250 0.429 0.577
0.250 0.622 0.982
0.750 0.378 0.018
0.750 0.071 0.077
0.250 0.929 0.923
0.250 0.515 0.217
0.250 0.122 0.518
0.250 0.212 0.830
0.750 0.788 0.170
0.750 0.878 0.482
0.250 0.712 0.670
0.750 0.985 0.717
0.750 0.288 0.330
0.250 0.015 0.283
0.750 0.571 0.423
0.250 0.751 0.352
0.250 0.251 0.148
0.750 0.249 0.648
0.750 0.749 0.852

(4)
BaNd2S4 r²SCAN optimized geometry; symmetry = Pnma; E_tot = -19.180 eV per atom; theoretical density = 4.73 g/cm³
1.0
4.199 0.000 0.000
0.000 12.411 0.000
0.000 0.000 14.942
S Nd Ba
16 8 4
Direct
0.750 0.289 0.825
0.750 0.789 0.675
0.750 0.368 0.521
0.750 0.868 0.979
0.250 0.711 0.175
0.250 0.516 0.718
0.250 0.211 0.325
0.750 0.484 0.282
0.750 0.077 0.580
0.250 0.632 0.479
0.750 0.984 0.218
0.250 0.423 0.080
0.750 0.577 0.920
0.250 0.923 0.420
0.250 0.016 0.782
0.250 0.132 0.021
0.250 0.924 0.105
0.250 0.422 0.893
0.750 0.076 0.895
0.250 0.922 0.607
0.750 0.578 0.107
0.250 0.424 0.395
0.750 0.576 0.605
0.750 0.078 0.393
0.750 0.747 0.341
0.250 0.753 0.841
0.750 0.247 0.159
0.250 0.253 0.659